No. 1
Compound: Te2W2SeS
Source: Materials Project
Functional: GGA-PBE
Structure: optimized geometry

Formation energy from the elements = -0.41 eV/atom
Space group = P3m1, No. 156
E above lowest polymorph = 0.2 kJ per mole of atoms

abc: 3.3984 3.3984 39.0812
angles: 90.00 90.00 120.00
Sites, in units of the cell vectors:
Te: 0.3333 0.6667 0.3298
Te: 0.6667 0.3333 0.4216
Te: 0.6667 0.3333 0.5180
Te: 0.3333 0.6667 0.2334
W: 0.3333 0.6667 0.0939
W: 0.3333 0.6667 0.4699
W: 0.6667 0.3333 0.2816
W: 0.6667 0.3333 0.6576
Se: 0.3333 0.6667 0.6999
Se: 0.3333 0.6667 0.6152
S: 0.6667 0.3333 0.0554
S: 0.6667 0.3333 0.1325

No. 2
Compound: MnGa2S4
Source: Materials Project
Functional: GGA-PBE
Structure: optimized geometry

Formation energy from the elements = -0.90 eV/atom
Space group = Pm, No. 6

abc: 3.7096 6.2370 6.7784
angles: 89.67 90.00 90.00
Sites, in units of the cell vectors:
Mn: 0.0000 0.3670 0.3475
Ga: 0.5000 0.9016 0.1488
Ga: 0.5000 0.3544 0.8313
S: 0.0000 0.9834 0.3437
S: 0.0000 0.5078 0.6754
S: 0.5000 0.5130 0.1531
S: 0.5000 0.9978 0.8342

No. 3
Compound: HoSb3
Source: Materials Project
Functional: GGA-PBE
Structure: optimized geometry

Formation energy from the elements = -0.52 eV/atom
Space group = P6_3/mmc, No. 194

abc: 6.5435 6.5435 5.8702
angles: 90.00 90.00 120.00
Sites, in units of the cell vectors:
Ho: 0.3333 0.6667 0.7500
Ho: 0.6667 0.3333 0.2500
Sb: 0.1752 0.3504 0.2500
Sb: 0.6496 0.8248 0.2500
Sb: 0.1752 0.8248 0.2500
Sb: 0.8248 0.6496 0.7500
Sb: 0.3504 0.1752 0.7500
Sb: 0.8248 0.1752 0.7500

No. 4
Compound: HF
Source: Materials Project
Functional: GGA-PBE
Structure: optimized geometry

Formation energy from the elements = -1.72 eV/atom
Space group = Cmcm, No. 63
E above lowest polymorph = 0.0 kJ per mole of atoms

abc: 2.6756 2.6756 6.1960
angles: 90.00 90.00 111.87
Sites, in units of the cell vectors:
H: 0.4956 0.5044 0.5810
H: 0.5044 0.4956 0.0810
F: 0.2800 0.7200 0.5810
F: 0.7200 0.2800 0.0810

No. 5
Compound: AlC6N
Source: Materials Project
Functional: GGA-PBE
Structure: optimized geometry

Formation energy from the elements = 1.03 eV/atom
Space group = Pnma, No. 62

abc: 6.9423 9.9857 6.9676
angles: 90.00 90.00 90.00
Sites, in units of the cell vectors:
Al: 0.6032 0.7500 0.3241
Al: 0.8968 0.7500 0.8241
Al: 0.3968 0.2500 0.6759
Al: 0.1032 0.2500 0.1759
C: 0.1622 0.7500 0.3958
C: 0.3378 0.7500 0.8958
C: 0.8378 0.2500 0.6042
C: 0.6622 0.2500 0.1042
C: 0.2854 0.8633 0.3667
C: 0.2146 0.6367 0.8667
C: 0.7146 0.3633 0.6333
C: 0.7854 0.1367 0.1333
C: 0.7146 0.1367 0.6333
C: 0.7854 0.3633 0.1333
C: 0.2854 0.6367 0.3667
C: 0.2146 0.8633 0.8667
C: 0.8238 0.7500 0.5260
C: 0.6762 0.7500 0.0260
C: 0.1762 0.2500 0.4740
C: 0.3238 0.2500 0.9740
C: 0.4455 0.9162 0.3373
C: 0.0545 0.5838 0.8373
C: 0.5545 0.4162 0.6627
C: 0.9455 0.0838 0.1627
C: 0.5545 0.0838 0.6627
C: 0.9455 0.4162 0.1627
C: 0.4455 0.5838 0.3373
C: 0.0545 0.9162 0.8373
N: 0.9858 0.7500 0.4517
N: 0.5142 0.7500 0.9517
N: 0.0142 0.2500 0.5483
N: 0.4858 0.2500 0.0483

No. 6
Compound: Al6W5N16
Source: Materials Project
Functional: GGA-PBE
Structure: optimized geometry

Formation energy from the elements = -0.85 eV/atom
Space group = I-43m, No. 217

abc: 7.8593 9.0752 9.0752
angles: 90.00 54.74 54.74
Sites, in units of the cell vectors:
Al: 0.0000 0.7500 0.5000
Al: 0.0000 0.5000 0.7500
Al: 0.5000 0.7500 0.2500
Al: 0.0000 0.2500 0.5000
Al: 0.0000 0.5000 0.2500
Al: 0.5000 0.2500 0.7500
W: 0.4741 0.0000 0.5259
W: 0.4741 0.5259 0.0000
W: 0.5259 0.4741 0.4741
W: 0.5259 0.0000 0.0000
W: 0.0000 0.0000 0.0000
N: 0.2371 0.0000 0.7629
N: 0.2371 0.7629 0.0000
N: 0.7629 0.2371 0.2371
N: 0.7629 0.0000 0.0000
N: 0.7003 0.0000 0.5460
N: 0.2078 0.2462 0.5460
N: 0.7003 0.7538 0.2997
N: 0.7003 0.2997 0.7538
N: 0.2078 0.5460 0.2462
N: 0.7003 0.5460 0.0000
N: 0.2997 0.7003 0.4540
N: 0.7922 0.4540 0.4540
N: 0.2997 0.4540 0.7003
N: 0.2997 0.0000 0.2462
N: 0.7922 0.7538 0.7538
N: 0.2997 0.2462 0.0000